LaB3F12: optimized geometry, PBE-GGA.

a = 11.171 Å, b = 11.171 Å, c = 11.350 Å
α = 90.00°, β = 90.00°, γ = 120.00°
Fractional coordinates of all 96 atoms:
1 La 0.000 0.344 0.000
2 La 0.000 0.656 0.500
3 La 0.344 0.000 0.000
4 La 0.344 0.344 0.500
5 La 0.656 0.000 0.500
6 La 0.656 0.656 0.000
7 B 0.000 0.000 0.050
8 B 0.000 0.000 0.550
9 B 0.045 0.362 0.657
10 B 0.045 0.683 0.157
11 B 0.317 0.362 0.157
12 B 0.317 0.955 0.657
13 B 0.333 0.667 0.397
14 B 0.333 0.667 0.897
15 B 0.361 0.044 0.343
16 B 0.361 0.317 0.843
17 B 0.638 0.683 0.657
18 B 0.638 0.955 0.157
19 B 0.667 0.333 0.102
20 B 0.667 0.333 0.602
21 B 0.683 0.044 0.843
22 B 0.683 0.639 0.343
23 B 0.956 0.317 0.343
24 B 0.956 0.639 0.843
25 F 0.000 0.000 0.170
26 F 0.000 0.000 0.670
27 F 0.000 0.120 0.003
28 F 0.000 0.880 0.503
29 F 0.044 0.355 0.783
30 F 0.044 0.689 0.283
31 F 0.051 0.487 0.621
32 F 0.051 0.564 0.121
33 F 0.071 0.318 0.388
34 F 0.071 0.752 0.888
35 F 0.120 0.000 0.003
36 F 0.120 0.120 0.503
37 F 0.169 0.367 0.618
38 F 0.169 0.803 0.118
39 F 0.197 0.367 0.118
40 F 0.197 0.831 0.618
41 F 0.212 0.551 0.945
42 F 0.212 0.661 0.445
43 F 0.248 0.318 0.888
44 F 0.248 0.929 0.388
45 F 0.311 0.355 0.283
46 F 0.311 0.956 0.783
47 F 0.319 0.071 0.612
48 F 0.319 0.248 0.112
49 F 0.333 0.667 0.277
50 F 0.333 0.667 0.777
51 F 0.339 0.551 0.445
52 F 0.339 0.788 0.945
53 F 0.355 0.044 0.217
54 F 0.355 0.311 0.717
55 F 0.366 0.169 0.382
56 F 0.366 0.197 0.882
57 F 0.436 0.487 0.121
58 F 0.436 0.949 0.621
59 F 0.449 0.661 0.945
60 F 0.449 0.788 0.445
61 F 0.487 0.051 0.378
62 F 0.487 0.436 0.878
63 F 0.513 0.564 0.621
64 F 0.513 0.949 0.121
65 F 0.551 0.212 0.055
66 F 0.551 0.339 0.555
67 F 0.564 0.051 0.878
68 F 0.564 0.513 0.378
69 F 0.633 0.803 0.618
70 F 0.633 0.831 0.118
71 F 0.645 0.689 0.783
72 F 0.645 0.956 0.283
73 F 0.661 0.212 0.555
74 F 0.661 0.449 0.055
75 F 0.667 0.333 0.222
76 F 0.667 0.333 0.722
77 F 0.682 0.752 0.388
78 F 0.682 0.929 0.888
79 F 0.689 0.044 0.717
80 F 0.689 0.645 0.217
81 F 0.752 0.071 0.112
82 F 0.752 0.681 0.612
83 F 0.788 0.339 0.055
84 F 0.788 0.449 0.555
85 F 0.803 0.169 0.882
86 F 0.803 0.634 0.382
87 F 0.831 0.197 0.382
88 F 0.831 0.634 0.882
89 F 0.880 0.000 0.503
90 F 0.880 0.880 0.003
91 F 0.929 0.248 0.612
92 F 0.929 0.681 0.112
93 F 0.949 0.436 0.378
94 F 0.949 0.513 0.878
95 F 0.956 0.311 0.217
96 F 0.956 0.645 0.717

Formation energy = -3502.6 meV/atom
Spin magnetization = 0.11 μB per cell
Crystal system = trigonal
Total energy = -590.68 eV/cell


Li2B3O4F3: optimized geometry, PBE-GGA.

a = 4.963 Å, b = 8.829 Å, c = 12.446 Å
α = 90.00°, β = 90.00°, γ = 90.00°
Fractional coordinates of all 48 atoms:
1 Li 0.086 0.145 0.103
2 Li 0.160 0.206 0.572
3 Li 0.340 0.794 0.072
4 Li 0.414 0.855 0.603
5 Li 0.586 0.355 0.897
6 Li 0.660 0.294 0.428
7 Li 0.840 0.706 0.928
8 Li 0.914 0.645 0.397
9 B 0.022 0.921 0.270
10 B 0.080 0.182 0.340
11 B 0.091 0.469 0.039
12 B 0.409 0.531 0.539
13 B 0.420 0.818 0.840
14 B 0.478 0.079 0.770
15 B 0.522 0.579 0.730
16 B 0.580 0.318 0.660
17 B 0.591 0.031 0.961
18 B 0.909 0.969 0.461
19 B 0.920 0.682 0.160
20 B 0.978 0.421 0.230
21 O 0.036 0.627 0.060
22 O 0.042 0.366 0.129
23 O 0.052 0.826 0.183
24 O 0.059 0.073 0.252
25 O 0.441 0.927 0.752
26 O 0.448 0.174 0.683
27 O 0.458 0.634 0.629
28 O 0.464 0.373 0.560
29 O 0.536 0.873 0.940
30 O 0.542 0.134 0.871
31 O 0.552 0.674 0.817
32 O 0.559 0.427 0.748
33 O 0.941 0.573 0.248
34 O 0.948 0.326 0.317
35 O 0.958 0.866 0.371
36 O 0.964 0.127 0.440
37 F 0.071 0.920 0.553
38 F 0.132 0.788 0.855
39 F 0.134 0.551 0.503
40 F 0.366 0.449 0.003
41 F 0.368 0.212 0.355
42 F 0.429 0.080 0.053
43 F 0.571 0.580 0.447
44 F 0.632 0.712 0.145
45 F 0.634 0.949 0.497
46 F 0.866 0.051 0.997
47 F 0.868 0.288 0.645
48 F 0.929 0.420 0.947

Formation energy = -3002.6 meV/atom
Crystal system = orthorhombic
Total energy = -325.16 eV/cell


Mg2BO3F: optimized geometry, PBE-GGA.

a = 9.441 Å, b = 3.139 Å, c = 9.504 Å
α = 90.00°, β = 90.00°, γ = 90.00°
Fractional coordinates of all 28 atoms:
1 Mg 0.101 0.250 0.181
2 Mg 0.136 0.250 0.570
3 Mg 0.364 0.750 0.070
4 Mg 0.399 0.750 0.681
5 Mg 0.601 0.250 0.319
6 Mg 0.636 0.250 0.930
7 Mg 0.864 0.750 0.430
8 Mg 0.899 0.750 0.819
9 B 0.173 0.250 0.869
10 B 0.327 0.750 0.369
11 B 0.673 0.250 0.631
12 B 0.827 0.750 0.131
13 O 0.030 0.250 0.856
14 O 0.238 0.250 0.002
15 O 0.243 0.750 0.248
16 O 0.257 0.250 0.748
17 O 0.262 0.750 0.502
18 O 0.470 0.750 0.356
19 O 0.530 0.250 0.644
20 O 0.738 0.250 0.498
21 O 0.743 0.750 0.252
22 O 0.757 0.250 0.752
23 O 0.762 0.750 0.998
24 O 0.970 0.750 0.144
25 F 0.007 0.250 0.390
26 F 0.493 0.750 0.890
27 F 0.507 0.250 0.110
28 F 0.993 0.750 0.610

Formation energy = -3220.7 meV/atom
Spin magnetization = 0.00 μB per cell
Crystal system = orthorhombic
Total energy = -186.64 eV/cell